5
Lattice="-3.559 1.507 1.550 -2.136 -1.988 -2.971 -0.336 -3.334 2.472" Properties=species:S:1:pos:R:3 comment="RbZnO3 PBE-GGA optimized geometry" energy_mp2020_ev_per_cell=-21.49 mass_density_g_cm3=4.574 sg="Pm-3m (221)" pbc="T T T"
Rb -3.015 -1.907 0.526
O -1.068 -0.994 -1.485
O -1.779 0.754 0.775
O -0.168 -1.667 1.236
Zn 0.000 0.000 0.000

---

24
Lattice="-4.085 4.353 0.499 -4.193 -3.349 -5.114 -5.122 -5.717 7.944" Properties=species:S:1:pos:R:3 comment="Rb2ZrO3 PBE-GGA optimized geometry" energy_mp2020_ev_per_cell=-167.41 mass_density_g_cm3=4.200 sg="Pnma (62)" pbc="T T T"
Rb -3.972 -1.504 -2.317
Rb -9.428 -3.210 5.646
Rb -7.751 -1.338 3.046
Rb -4.538 -2.579 4.224
Rb -8.862 -2.134 -0.895
Rb -5.649 -3.376 0.283
Rb -6.215 -4.451 6.825
Rb -7.185 -0.263 -3.495
O -6.273 -4.860 3.979
O -3.865 0.629 -0.087
O -10.441 -1.860 1.562
O -1.700 -1.448 -0.186
O -11.700 -3.265 3.515
O -7.127 0.146 -0.649
O -8.275 -3.937 1.463
O -5.124 -0.776 1.866
O -7.019 -1.648 5.810
O -9.535 -5.343 3.416
O -2.959 -2.854 1.767
O -6.381 -3.066 -2.480
Zr -3.086 -0.781 1.288
Zr -10.313 -3.932 2.041
Zr -7.544 -5.528 2.679
Zr -5.856 0.814 0.651

---

24
Lattice="-2.985 3.343 -5.403 -1.263 -6.658 1.829 -10.331 4.251 8.337" Properties=species:S:1:pos:R:3 comment="Rb2ZrO3 PBE-GGA optimized geometry" energy_mp2020_ev_per_cell=-166.01 mass_density_g_cm3=3.668 sg="Cmce (64)" pbc="T T T"
Rb -5.898 -3.556 4.460
Rb -8.681 4.491 0.303
Rb -10.308 -2.431 8.660
Rb -3.098 -0.062 -2.110
Rb -5.817 -0.644 1.662
Rb -11.481 0.996 6.873
Rb -8.762 1.579 3.101
Rb -4.270 3.366 -3.897
O -7.972 -3.036 6.443
O -12.482 5.737 3.666
O -7.017 1.869 0.757
O -10.555 -1.502 5.166
O -7.562 -0.934 4.006
O -3.348 -2.017 0.001
O -4.024 2.437 -0.403
O -11.231 2.952 4.762
O -6.148 0.780 -2.190
O -6.607 3.971 -1.680
O -2.097 -4.802 1.097
O -8.431 0.155 6.953
Zr -6.002 2.304 -0.852
Zr -3.427 -3.402 1.380
Zr -8.576 -1.369 5.615
Zr -11.152 4.337 3.382

---

12
Lattice="-5.550 2.674 -4.009 3.775 -6.110 -1.564 -4.056 -3.634 2.414" Properties=species:S:1:pos:R:3 comment="Rb2ZrO3 PBE-GGA optimized geometry" energy_mp2020_ev_per_cell=-83.38 mass_density_g_cm3=3.956 sg="Cc (9)" pbc="T T T"
O -3.665 -3.122 0.417
O 0.031 -6.166 -1.409
O -1.008 -1.897 -0.625
O -4.195 -5.715 -2.900
O -7.590 -2.715 -1.668
O -2.604 -3.486 -4.221
Rb -2.446 -7.514 0.233
Rb -5.746 -4.607 -0.781
Rb -5.217 -1.177 -2.231
Rb -2.071 -4.341 -1.556
Zr 1.362 -7.482 -0.783
Zr -9.056 -1.397 -1.775

---

12
Lattice="4.116 5.152 -0.639 -5.755 1.097 -3.093 -2.228 2.399 4.996" Properties=species:S:1:pos:R:3 comment="Rb2ZrO3 PBE-GGA optimized geometry" energy_mp2020_ev_per_cell=-83.71 piezo_max_c_m2=1.0 mass_density_g_cm3=4.222 sg="Cmc2_1 (36)" pbc="T T T"
Rb -3.235 3.970 -1.519
Rb -0.659 4.707 2.846
Rb -3.881 3.384 2.045
Rb -0.014 5.293 -0.718
O -6.726 3.917 2.211
O -5.646 2.846 -0.365
O -1.025 2.653 -0.262
O 1.777 5.896 1.481
O 0.697 6.966 4.056
O -2.645 5.782 1.084
Zr -0.669 1.111 0.855
Zr -3.136 7.470 0.272

---

18
Lattice="-3.602 3.602 5.218 3.602 -3.602 5.218 3.602 3.602 -5.218" Properties=species:S:1:pos:R:3 comment="Re2O7 PBE-GGA optimized geometry" energy_mp2020_ev_per_cell=-144.11 e_above_lowest_polymorph_ev_per_atom=0.634 mass_density_g_cm3=5.940 sg="I4_1md (109)" pbc="T T T"
O 0.000 0.000 0.735
O 2.302 1.349 6.552
O 0.000 0.000 3.870
O 0.000 0.000 7.283
O 2.254 2.302 3.942
O 1.300 2.254 1.333
O 1.300 4.951 1.333
O 5.856 1.300 -1.276
O 3.602 0.000 1.260
O 0.000 3.602 3.344
O 3.602 0.000 4.673
O 2.302 -1.349 6.552
O -2.254 2.302 3.942
O 1.349 1.300 -1.276
Re 3.602 -1.859 5.092
Re 3.602 1.859 5.092
Re 1.743 3.602 2.482
Re 1.859 0.000 7.701

---

72
Lattice="-2.410 1.475 -4.787 2.584 -11.497 -4.844 -13.667 -5.284 5.252" Properties=species:S:1:pos:R:3 comment="Re2O7 PBE-GGA optimized geometry" energy_mp2020_ev_per_cell=-622.12 e_above_lowest_polymorph_ev_per_atom=0.000 mass_density_g_cm3=5.838 sg="P2_12_12_1 (19)" pbc="T T T"
O -6.845 -10.555 -3.330
O -11.361 -13.122 -3.052
O -6.267 -8.755 0.237
O -9.337 -4.579 1.586
O 0.938 -10.285 -6.790
O -13.544 -7.117 1.693
O -3.163 -6.267 -3.674
O -4.212 -8.261 -2.214
O -4.372 -11.102 -1.517
O -15.283 -3.750 0.303
O -8.120 -12.714 -4.846
O -5.511 -7.539 -4.481
O -4.894 -12.936 -4.971
O -11.350 -9.048 1.486
O -4.772 -0.721 -0.940
O -9.196 -11.800 -2.220
O -0.756 -7.984 -3.581
O -3.822 -10.292 -4.125
O -9.323 -10.184 -4.550
O -8.503 -6.888 0.431
O -12.784 -4.174 1.451
O -2.624 -3.320 -3.279
O -4.301 -5.701 -1.282
O -12.690 -8.384 -0.945
O -7.914 -15.476 -0.893
O -4.200 -8.524 -6.953
O -6.758 -13.474 -2.455
O -0.516 -10.523 -4.508
O -6.585 -6.886 -2.115
O -10.541 -3.821 -0.788
O -1.962 -7.237 -6.049
O -12.606 -12.623 -0.672
O -1.148 -5.906 -1.713
O -0.726 -7.739 -8.374
O -10.424 -11.285 0.233
O -5.745 -5.764 1.016
O -9.658 -6.141 -1.906
O -14.285 -10.068 -2.286
O -1.720 -9.805 -6.920
O -3.305 -0.589 -3.184
O -4.472 -11.383 -7.240
O -7.910 -4.485 -0.728
O -5.515 -4.938 -3.675
O -11.619 -10.572 -2.161
O -11.138 -8.148 -3.251
O -2.027 -1.215 -0.877
O -5.153 -3.401 -0.102
O -11.102 -6.278 0.413
O -6.367 -2.618 -2.556
O -7.055 -3.372 2.433
O -2.225 -1.838 -5.605
O -10.214 -13.833 -0.701
O -8.583 -9.149 -1.255
O -0.543 -5.170 -4.328
O -11.217 -6.815 3.197
O -2.489 -4.011 0.003
Re -11.182 -14.508 -4.184
Re -2.140 -8.167 -7.491
Re -3.261 -2.050 -4.245
Re -1.393 -6.318 -3.360
Re -6.426 -1.185 -1.470
Re -11.833 -7.318 1.674
Re -10.965 -12.335 -1.105
Re -3.554 -9.924 -2.469
Re -4.427 -4.909 0.312
Re -5.187 -6.592 -3.078
Re -9.455 -5.202 -0.474
Re -12.781 -9.241 -2.438
Re -7.985 -8.601 0.256
Re -8.715 -3.506 2.876
Re -8.339 -11.320 -3.718
Re -0.304 -11.273 -6.118

---

16
Lattice="5.245 -3.767 -1.029 -1.589 -0.162 6.341 -5.013 -2.224 -3.561" Properties=species:S:1:pos:R:3 comment="ReO3 PBE-GGA optimized geometry" energy_mp2020_ev_per_cell=-143.23 mass_density_g_cm3=7.227 sg="Im-3 (204)" pbc="T T T"
Re -2.507 -1.112 -1.781
Re -0.795 -0.081 3.171
Re 2.623 -1.883 -0.515
Re -0.679 -3.076 0.875
O -2.270 -3.638 1.742
O 1.143 -3.434 4.539
O -1.710 -2.031 -0.325
O -2.501 -2.719 -2.789
O 0.353 -4.122 2.075
O -2.378 -0.849 3.879
O -0.799 -4.548 -0.316
O -4.784 -3.142 0.969
O -0.559 -1.605 2.066
O 1.020 -5.304 -2.128
O 0.912 -2.515 0.009
O 3.427 -3.011 0.781

---

18
Lattice="-0.208 6.672 -6.312 -4.699 -7.789 1.284 -4.683 3.453 3.804" Properties=species:S:1:pos:R:3 comment="Re2O7 PBE-GGA optimized geometry" energy_mp2020_ev_per_cell=-154.83 e_above_lowest_polymorph_ev_per_atom=0.039 piezo_max_c_m2=0.2 mass_density_g_cm3=3.840 sg="Cmc2_1 (36)" pbc="T T T"
O -7.087 1.853 -0.662
O -1.860 3.369 -1.538
O -4.783 2.440 -2.416
O -5.653 4.501 0.993
O -8.198 -0.689 0.694
O -3.489 -1.876 1.217
O -3.474 7.327 -3.389
O -2.665 0.601 -0.432
O -4.651 -6.073 0.974
O -6.659 1.260 2.695
O -6.569 4.556 -2.062
O -1.017 5.627 -5.172
O -7.108 -4.373 2.758
O -5.789 -0.801 -0.714
Re -1.381 1.737 -1.282
Re -7.339 -0.043 -0.650
Re -2.278 -1.150 0.235
Re -6.443 2.844 -2.166

---

4
Lattice="3.796 0.000 0.000 0.000 3.796 0.000 0.000 0.000 3.796" Properties=species:S:1:pos:R:3 comment="ReO3 PBE-GGA optimized geometry" energy_mp2020_ev_per_cell=-35.83 mass_density_g_cm3=7.108 sg="Pm-3m (221)" pbc="T T T"
O 1.898 0.000 0.000
O 0.000 1.898 0.000
O 0.000 0.000 1.898
Re 0.000 0.000 0.000

---

8
Lattice="-2.472 0.619 -4.722 1.221 -3.206 -4.126 -3.526 -3.669 -1.702" Properties=species:S:1:pos:R:3 comment="ReO3 PBE-GGA optimized geometry" energy_mp2020_ev_per_cell=-71.62 mass_density_g_cm3=7.151 sg="R-3c (167)" pbc="T T T"
O -4.221 -3.205 -5.769
O -2.857 -3.502 -3.473
O -2.558 -1.267 -4.934
O -1.919 -2.754 -7.078
O -2.218 -4.989 -5.617
O -0.555 -3.051 -4.782
Re 0.000 0.000 0.000
Re -2.388 -3.128 -5.275

---

8
Lattice="5.362 0.000 0.000 0.000 5.362 0.000 0.000 0.000 3.794" Properties=species:S:1:pos:R:3 comment="ReO3 PBE-GGA optimized geometry" energy_mp2020_ev_per_cell=-71.64 mass_density_g_cm3=7.129 sg="P4/mbm (127)" pbc="T T T"
O 0.000 0.000 0.000
O 1.406 4.087 1.897
O 1.275 1.406 1.897
O 3.956 1.275 1.897
O 4.087 3.956 1.897
O 2.681 2.681 0.000
Re 0.000 0.000 1.897
Re 2.681 2.681 1.897